[1]
Computed, not measured: InAs after structural relaxation at the PBE level of DFT.

```
16
Lattice="7.566 0.000 0.000 0.000 7.566 0.000 0.000 0.000 7.566" Properties=species:S:1:pos:R:3 pbc="T T T"
As 4.849 1.066 2.717
As 2.717 4.849 1.066
As 2.717 6.500 4.849
As 1.066 1.066 1.066
As 1.066 2.717 4.849
As 6.500 6.500 6.500
As 4.849 2.717 6.500
As 6.500 4.849 2.717
In 1.186 4.969 6.381
In 6.381 2.598 1.186
In 4.969 6.381 1.186
In 2.598 1.186 6.381
In 6.381 1.186 4.969
In 1.186 6.381 2.598
In 4.969 4.969 4.969
In 2.598 2.598 2.598
```

Total magnetization = 0.00 μB per atom
VASP energy = -61.1 eV for the cell shown
Formation energy from the elements = -0.2 eV/f.u.

***

[2]
Computed, not measured: InAs after structural relaxation at the PBE level of DFT.

```
2
Lattice="0.000 2.877 2.877 2.877 0.000 2.877 2.877 2.877 0.000" Properties=species:S:1:pos:R:3 pbc="T T T"
In 2.877 2.877 2.877
As 0.000 0.000 0.000
```

Total magnetization = 0.00 μB per atom
VASP energy = -7.5 eV for the cell shown
Formation energy from the elements = -0.1 eV/f.u.

***

[3]
Computed, not measured: K2In2As3 after structural relaxation at the PBE level of DFT.

```
56
Lattice="7.273 0.000 0.000 0.000 14.637 0.000 0.000 0.025 16.140" Properties=species:S:1:pos:R:3 pbc="T T T"
In 5.309 9.994 2.710
In 5.707 13.315 11.786
In 1.837 11.955 10.915
In 1.672 4.656 5.360
In 1.818 8.636 3.902
In 1.567 1.347 4.354
In 5.437 2.707 5.225
In 5.203 13.303 3.716
In 1.818 8.648 11.972
In 1.800 11.943 2.845
In 5.473 2.720 13.295
In 5.455 6.026 12.238
In 2.070 1.359 12.424
In 5.601 10.006 10.780
In 1.965 4.668 13.430
In 5.455 6.014 4.168
As 4.153 4.905 6.314
As 6.757 4.917 14.384
As 0.308 14.197 2.769
As 1.055 10.949 13.356
As 4.078 12.251 1.474
As 2.582 10.936 5.286
As 5.093 11.020 5.205
As 6.832 12.264 9.544
As 0.516 9.745 1.755
As 0.329 7.009 5.524
As 6.218 3.713 2.784
As 3.966 7.640 2.546
As 3.329 14.210 10.839
As 3.307 7.022 13.594
As 6.944 7.653 10.615
As 1.456 3.630 2.865
As 2.180 3.642 10.935
As 3.196 2.411 14.666
As 6.966 0.465 13.371
As 4.692 3.726 10.854
As 5.817 11.033 13.275
As 0.441 2.398 6.596
As 3.944 0.453 5.301
As 3.121 9.757 9.825
K 3.333 2.110 8.184
K 3.971 1.217 1.731
K 4.123 5.031 0.361
K 0.335 13.433 6.339
K 3.033 6.414 9.561
K 3.151 9.632 15.779
K 0.304 2.098 0.114
K 6.787 5.043 8.431
K 6.970 12.564 16.026
K 6.939 1.229 9.801
K 0.603 6.401 1.491
K 6.670 8.261 14.649
K 3.940 12.552 7.956
K 0.486 9.619 7.709
K 4.240 8.248 6.579
K 3.302 13.445 14.409
```

VASP energy = -196.7 eV for the cell shown
Formation energy from the elements = -2.9 eV/f.u.

***

[4]
Computed, not measured: K2LiInAs2 after structural relaxation at the PBE level of DFT.

```
24
Lattice="6.511 -7.899 0.000 6.511 7.899 0.000 0.000 0.000 6.454" Properties=species:S:1:pos:R:3 pbc="T T T"
As 6.511 1.548 4.716
As 6.511 6.351 1.489
As 3.256 1.594 1.614
As 9.767 1.594 1.614
As 6.511 -1.548 1.738
As 6.511 -6.351 4.965
As 9.767 -1.594 4.841
As 3.256 -1.594 4.841
K 6.511 2.737 1.448
K 3.256 -2.785 1.614
K 6.511 -2.737 5.007
K 9.767 2.785 4.841
K 3.256 2.785 4.841
K 6.511 -5.162 1.779
K 9.767 -2.785 1.614
K 6.511 5.162 4.675
In 11.310 0.000 0.000
In 1.713 0.000 0.000
In 8.224 0.000 3.227
In 4.799 0.000 3.227
Li 1.567 0.000 3.227
Li 4.944 0.000 0.000
Li 11.456 0.000 3.227
Li 8.079 0.000 0.000
```

Total magnetization = 0.00 μB per atom
VASP energy = -78.3 eV for the cell shown
Formation energy from the elements = -3.4 eV/f.u.

***

[5]
Computed, not measured: MnInAsN after structural relaxation at the PBE level of DFT.

```
4
Lattice="-0.536 3.128 1.795 1.930 2.963 -0.885 -4.667 1.727 -4.396" Properties=species:S:1:pos:R:3 pbc="T T T"
Mn -1.109 4.815 -1.313
N 0.263 4.308 -0.021
As -2.464 3.114 -2.455
In 0.292 2.094 0.141
```

Total magnetization = 0.98 μB per atom
MP2020-corrected energy = -24.9 eV/cell
VASP energy = -24.5 eV for the cell shown
Formation energy from the elements = 0.0 eV/f.u.

***

[6]
Computed, not measured: Na3In2As3O12 after structural relaxation at the PBE level of DFT.

```
40
Lattice="0.399 2.404 -8.955 6.167 -6.849 -1.098 -3.292 -5.041 -3.519" Properties=species:S:1:pos:R:3 pbc="T T T"
As -0.689 -6.395 -4.647
As 3.510 -7.525 -9.060
As 3.749 -5.550 -4.151
As -0.236 -1.960 -4.512
As 3.963 -3.091 -8.926
As -0.475 -3.935 -9.422
Na 3.671 -10.586 -3.774
Na -0.397 1.101 -9.799
Na 3.283 -2.222 -5.027
Na 2.106 -8.076 -5.906
Na 1.637 -4.743 -6.786
Na 1.168 -1.409 -7.667
O 1.710 -2.781 -0.729
O -1.843 -2.242 -5.087
O -1.895 -5.135 -4.730
O 2.720 -4.223 -3.737
O 5.116 -7.244 -8.485
O -0.072 -0.225 -4.313
O 5.210 -5.341 -3.261
O -0.212 -2.674 -2.920
O 3.821 -5.344 -5.866
O 0.125 -2.345 -9.706
O 3.148 -7.140 -3.867
O 0.340 -6.047 -3.270
O 2.933 -3.438 -10.303
O 3.485 -6.811 -10.652
O 5.168 -4.350 -8.842
O 0.239 -6.532 -6.042
O -0.548 -4.142 -7.706
O 3.345 -9.260 -9.259
O 3.034 -2.953 -7.531
O 0.969 -2.542 -5.530
O 0.554 -5.262 -9.835
O 2.304 -6.944 -8.042
O 1.563 -6.705 -12.843
O -1.936 -4.144 -10.311
In -2.255 -3.850 -6.472
In 2.079 -5.263 -11.317
In 5.529 -5.636 -7.101
In 1.194 -4.222 -2.255
```

MP2020-corrected energy = -244.9 eV/cell
VASP energy = -228.4 eV for the cell shown
Formation energy from the elements = -39.6 eV/f.u.

***

[7]
Computed, not measured: InAsO3 after structural relaxation at the PBE level of DFT.

```
5
Lattice="3.933 0.000 0.000 0.000 3.933 0.000 0.000 0.000 3.933" Properties=species:S:1:pos:R:3 pbc="T T T"
O 1.967 0.000 1.967
O 1.967 1.967 0.000
O 0.000 1.967 1.967
As 1.967 1.967 1.967
In 0.000 0.000 0.000
```

Total magnetization = 0.00 μB per atom
MP2020-corrected energy = -28.2 eV/cell
VASP energy = -26.2 eV for the cell shown
Formation energy from the elements = -6.0 eV/f.u.

***

[8]
Computed, not measured: InAsO6 after structural relaxation at the PBE level of DFT.

```
64
Lattice="8.979 0.000 0.000 0.000 10.538 0.000 0.000 0.000 10.551" Properties=species:S:1:pos:R:3 pbc="T T T"
O 5.246 7.498 6.036
O 6.482 3.749 4.184
O 7.323 10.146 9.879
O 6.666 3.490 7.246
O 8.948 10.249 7.098
O 1.993 3.749 1.091
O 8.222 3.040 0.760
O 2.176 1.779 3.305
O 2.313 7.048 3.305
O 7.323 5.661 4.604
O 0.030 0.289 3.453
O 2.496 9.018 1.091
O 6.985 6.789 9.460
O 1.655 4.877 5.947
O 4.104 8.430 3.295
O 6.985 9.018 4.184
O 6.802 8.759 7.246
O 8.222 2.229 6.036
O 8.593 8.430 1.981
O 6.482 1.520 9.460
O 4.104 7.377 8.571
O 2.834 5.661 0.672
O 4.520 4.980 7.098
O 4.875 3.161 1.981
O 4.875 2.108 7.256
O 4.459 5.557 3.453
O 2.496 6.789 6.367
O 1.993 1.520 6.367
O 6.144 0.392 4.604
O 4.520 0.289 1.823
O 8.593 7.377 7.256
O 2.176 3.490 8.580
O 8.948 5.557 1.823
O 0.030 4.980 8.729
O 0.386 3.161 3.295
O 1.655 0.392 0.672
O 6.144 4.877 9.879
O 0.386 2.108 8.571
O 3.732 2.229 9.791
O 5.246 8.309 0.760
O 0.757 7.498 9.791
O 6.802 7.048 1.971
O 3.732 3.040 4.515
O 2.834 10.146 5.947
O 6.666 1.779 1.971
O 0.757 8.309 4.515
O 2.313 8.759 8.580
O 4.459 10.249 8.729
In 3.215 1.921 1.308
In 7.705 1.921 3.967
In 7.705 3.348 9.243
In 5.763 8.617 9.243
In 1.274 7.189 1.308
In 5.763 7.189 3.967
In 3.215 3.348 6.584
In 1.274 8.617 6.584
As 0.377 1.364 7.006
As 4.112 6.633 7.006
As 8.601 9.173 3.545
As 4.112 9.173 1.731
As 0.377 3.904 1.731
As 4.867 3.904 3.545
As 4.867 1.364 8.820
As 8.601 6.633 8.820
```

Total magnetization = 0.50 μB per atom
MP2020-corrected energy = -354.7 eV/cell
VASP energy = -321.7 eV for the cell shown
Formation energy from the elements = -7.2 eV/f.u.

***

[9]
Computed, not measured: RbInAs2O7 after structural relaxation at the PBE level of DFT.

```
44
Lattice="0.490 7.814 -1.635 6.664 -1.708 5.590 6.230 -2.143 -8.426" Properties=species:S:1:pos:R:3 pbc="T T T"
Rb 8.168 2.779 -3.822
Rb 7.612 0.405 3.193
Rb 5.215 1.185 -0.650
Rb 5.771 3.559 -7.665
In 6.111 4.216 2.227
In 4.619 4.454 -3.153
In 7.272 -0.252 -6.699
In 8.764 -0.490 -1.319
O 3.233 3.635 -1.656
O 7.448 2.726 1.304
O 5.175 2.320 -3.340
O 2.310 0.632 0.477
O 6.615 -1.781 -5.304
O 4.453 3.627 0.908
O 6.077 4.338 -1.565
O 12.347 -2.337 -2.606
O 3.844 6.450 -2.702
O 3.071 5.936 -0.007
O 4.703 -0.406 -3.754
O 6.768 5.745 0.832
O 7.080 -1.021 0.022
O 8.930 0.337 -5.380
O 1.036 6.302 -1.865
O 8.680 4.370 -0.717
O 8.208 1.644 -1.131
O 7.836 1.497 -7.863
O 5.547 2.467 3.391
O 3.596 4.291 -5.027
O 7.307 -0.374 -2.906
O 9.787 -0.327 0.556
O 11.073 3.332 -4.948
O 10.150 0.329 -2.815
O 10.312 -1.972 -4.465
O 6.304 4.985 -4.493
O 5.936 1.238 -5.776
O 9.539 -2.486 -1.770
As 10.247 -0.172 -4.453
As 7.182 5.360 -0.787
As 10.755 -2.823 -2.927
As 4.741 1.208 -4.558
As 2.628 6.788 -1.544
As 6.201 -1.396 -3.685
As 8.642 2.756 0.086
As 3.136 4.136 -0.018
```

Total magnetization = 0.00 μB per atom
MP2020-corrected energy = -275.2 eV/cell
VASP energy = -255.9 eV for the cell shown
Formation energy from the elements = -21.1 eV/f.u.

***

[10]
Computed, not measured: In2AsP after structural relaxation at the PBE level of DFT.

```
4
Lattice="7.133 -2.149 0.000 7.133 2.149 0.000 6.486 0.000 3.666" Properties=species:S:1:pos:R:3 pbc="T T T"
In 0.048 0.000 0.008
In 10.326 0.000 1.824
P 7.779 0.000 1.374
As 18.163 0.000 3.209
```

Energy above the lowest structure with this stoichiometry = 7 meV per atom
VASP energy = -16.4 eV for the cell shown
Formation energy from the elements = -0.8 eV/f.u.

***

[11]
Computed, not measured: In2AsP after structural relaxation at the PBE level of DFT.

```
4
Lattice="1.498 3.396 2.180 4.616 0.472 -3.906 -2.357 2.624 -2.468" Properties=species:S:1:pos:R:3 pbc="T T T"
In 0.036 0.004 -0.031
In 1.842 3.242 -2.066
As 4.211 2.052 -1.839
P -0.025 1.430 -2.211
```

Energy above the lowest structure with this stoichiometry = 0 meV per atom
VASP energy = -16.4 eV for the cell shown
Formation energy from the elements = -0.9 eV/f.u.

***

[12]
Computed, not measured: InAs4Pd15 after structural relaxation at the PBE level of DFT.

```
20
Lattice="18.342 -2.228 0.000 18.342 2.228 0.000 18.072 0.000 3.850" Properties=species:S:1:pos:R:3 pbc="T T T"
Pd 51.934 0.000 3.652
Pd 35.447 0.000 2.492
Pd 46.503 0.000 3.270
Pd 5.524 0.000 0.388
Pd 38.245 0.000 2.689
Pd 13.741 0.000 0.966
Pd 41.015 0.000 2.884
Pd 24.626 0.000 1.731
Pd 16.511 0.000 1.161
Pd 2.822 0.000 0.198
Pd 27.378 0.000 1.925
Pd 49.232 0.000 3.462
Pd 30.130 0.000 2.119
Pd 8.253 0.000 0.580
Pd 19.309 0.000 1.358
In 0.000 0.000 0.000
As 32.806 0.000 2.307
As 21.950 0.000 1.543
As 10.941 0.000 0.769
As 43.815 0.000 3.081
```

Total magnetization = 0.00 μB per atom
VASP energy = -104.2 eV for the cell shown
Formation energy from the elements = -5.1 eV/f.u.

***

Question: The lowest formation energy from the elements belongs to which entry?
Answer: Na3In2As3O12

***

Question: Which formula does entry 6 have?
Answer: Na3In2As3O12